# 1
ZnWF6 after structural relaxation, computed with r²SCAN.

Summary:
Energy of formation from the pure elements ... -2.53 eV per atom

Structure (CIF):
```
data_ZnWF6
_chemical_formula_sum 'Zn3 W3 F18'
_cell_length_a 5.0899
_cell_length_b 5.0899
_cell_length_c 14.1680
_cell_angle_alpha 90.00
_cell_angle_beta 90.00
_cell_angle_gamma 120.00
_space_group_name_H-M_alt 'R -3'
_space_group_IT_number 148
_space_group_name_Hall '-R 3'
loop_
_atom_site_label
_atom_site_type_symbol
_atom_site_fract_x
_atom_site_fract_y
_atom_site_fract_z
_atom_site_occupancy
Zn1 Zn 0.0000 0.0000 0.0000 1
W1 W 0.0000 0.0000 0.5000 1
F1 F 0.0074 0.3717 0.2504 1
```

=====

# 2
ZnWF5 after structural relaxation, computed with r²SCAN.

Summary:
Energy of formation from the pure elements ... -2.27 eV per atom

Structure (CIF):
```
data_ZnWF5
_chemical_formula_sum 'Zn2 W2 F10'
_cell_length_a 5.2267
_cell_length_b 5.2291
_cell_length_c 7.4785
_cell_angle_alpha 74.37
_cell_angle_beta 74.45
_cell_angle_gamma 77.09
_space_group_name_H-M_alt 'P -1'
_space_group_IT_number 2
loop_
_space_group_symop_operation_xyz
'x,y,z'
'-x,-y,-z'
loop_
_atom_site_label
_atom_site_type_symbol
_atom_site_fract_x
_atom_site_fract_y
_atom_site_fract_z
_atom_site_occupancy
Zn1 Zn 0.0170 0.4831 0.2505 1
W1 W 0.5000 0.0000 0.0000 1
W2 W 0.5000 0.0000 0.5000 1
F1 F 0.1651 0.2840 0.9569 1
F2 F 0.1864 0.8094 0.6674 1
F3 F 0.2161 0.3349 0.5424 1
F4 F 0.3096 0.6865 0.1678 1
F5 F 0.3582 0.1418 0.2499 1
```

=====

| no. | electronic total energy (eV/atom) |
| --- | --- |
| 1 | -12.410 |
| 2 | -13.110 |